Material: V3O5F
Method: DFT, PBE+U
State: optimized geometry

Cell: 5.521 5.521 7.398 Å, 69.82 69.82 71.84°
Fractional positions:
O1 0.262 0.262 0.542
O2 0.534 0.136 0.164
O3 0.603 0.603 0.192
O4 0.466 0.864 0.836
O5 0.864 0.466 0.836
O6 0.397 0.397 0.808
O7 0.136 0.534 0.164
O8 0.800 0.200 0.500
O9 0.738 0.738 0.458
O10 0.200 0.800 0.500
V1 0.811 0.811 0.175
V2 0.174 0.174 0.354
V3 0.189 0.189 0.825
V4 0.826 0.826 0.646
V5 0.500 0.500 0.500
V6 0.500 0.500 0.000
F1 0.938 0.938 0.870
F2 0.062 0.062 0.130

Results
- energy relative to the lowest polymorph listed for this composition (meV/atom) = 46
- energy relative to the elements (eV per atom) = -2.56
- theoretical density (g cm⁻³) = 4.3
- space group = C2/m, No. 12
- magnetization (Bohr magnetons per cell) = 8.00

---

Material: MgTiMn3O8
Method: DFT, PBE+U
State: optimized geometry

Cell: 6.081 5.901 5.985 Å, 60.46 56.91 60.98°
Fractional positions:
O1 0.838 0.385 0.391
O2 0.371 0.406 0.817
O3 0.412 0.865 0.859
O4 0.880 0.399 0.871
O5 0.370 0.851 0.380
O6 0.370 0.400 0.379
O7 0.879 0.844 0.433
O8 0.880 0.850 0.871
Mg1 0.125 0.125 0.625
Mn1 0.625 0.125 0.625
Mn2 0.625 0.625 0.625
Mn3 0.125 0.625 0.625
Ti1 0.625 0.625 0.125

Results
- energy relative to the lowest polymorph listed for this composition (meV/atom) = 60
- energy relative to the elements (eV per atom) = -2.35
- theoretical density (g cm⁻³) = 4.1
- space group = C2/m, No. 12
- magnetization (Bohr magnetons per cell) = 11.00

---

Material: Pr2MgV4O12
Method: DFT, PBE+U
State: optimized geometry

Cell: 5.364 5.500 7.588 Å, 90.05 90.72 90.63°
Fractional positions:
O1 0.568 0.004 0.741
O2 0.723 0.288 0.452
O3 0.079 0.459 0.245
O4 0.231 0.215 0.963
O5 0.928 0.505 0.757
O6 0.797 0.807 0.441
O7 0.791 0.795 0.052
O8 0.282 0.723 0.966
O9 0.390 0.987 0.255
O10 0.736 0.263 0.059
O11 0.199 0.199 0.532
O12 0.273 0.706 0.532
Pr1 0.009 0.960 0.750
Pr2 0.513 0.543 0.245
V1 0.502 0.012 0.503
V2 0.001 0.499 0.992
V3 0.013 0.496 0.500
V4 0.491 0.008 0.000
Mg1 0.981 0.056 0.256

Results
- energy relative to the elements (eV per atom) = -2.85
- theoretical density (g cm⁻³) = 5.2
- space group = P1, No. 1
- magnetization (Bohr magnetons per cell) = 4.00

---

Please write out number 3 again, unchanged.
Material: Pr2MgV4O12
Method: DFT, PBE+U
State: optimized geometry

Cell: 5.364 5.500 7.588 Å, 90.05 90.72 90.63°
Fractional positions:
O1 0.568 0.004 0.741
O2 0.723 0.288 0.452
O3 0.079 0.459 0.245
O4 0.231 0.215 0.963
O5 0.928 0.505 0.757
O6 0.797 0.807 0.441
O7 0.791 0.795 0.052
O8 0.282 0.723 0.966
O9 0.390 0.987 0.255
O10 0.736 0.263 0.059
O11 0.199 0.199 0.532
O12 0.273 0.706 0.532
Pr1 0.009 0.960 0.750
Pr2 0.513 0.543 0.245
V1 0.502 0.012 0.503
V2 0.001 0.499 0.992
V3 0.013 0.496 0.500
V4 0.491 0.008 0.000
Mg1 0.981 0.056 0.256

Results
- energy relative to the elements (eV per atom) = -2.85
- theoretical density (g cm⁻³) = 5.2
- space group = P1, No. 1
- magnetization (Bohr magnetons per cell) = 4.00